(1)
USi3Ir | PBE | relaxed

Lattice parameters (Å, degrees): 4.168 4.168 5.704 111.43 111.43 90.00
Element x y z (fractional)
1 Si 0.266 0.766 0.533
2 Si 0.412 0.412 0.824
3 Si 0.766 0.266 0.533
4 U 0.997 0.997 0.995
5 Ir 0.652 0.652 0.304

Results
The uncorrected energy comes out at -7.85 eV/atom.



(2)
USi2Ir2 | PBE | relaxed

Lattice parameters (Å, degrees): 4.105 4.105 9.901 90.00 90.00 90.00
Element x y z (fractional)
1 Si 0.000 0.500 0.867
2 Si 0.000 0.000 0.500
3 Si 0.500 0.500 0.500
4 Si 0.500 0.000 0.133
5 Ir 0.500 0.000 0.371
6 Ir 0.000 0.500 0.629
7 Ir 0.500 0.500 0.000
8 Ir 0.000 0.000 0.000
9 U 0.500 0.000 0.745
10 U 0.000 0.500 0.255

Results
The uncorrected energy comes out at -8.76 eV/atom.



(3)
USi2Ir2 | PBE | relaxed

Lattice parameters (Å, degrees): 5.798 5.798 5.798 139.20 139.20 59.07
Element x y z (fractional)
1 Ir 0.250 0.750 0.500
2 Ir 0.750 0.250 0.500
3 Si 0.617 0.617 0.000
4 Si 0.383 0.383 0.000
5 U 0.000 0.000 0.000

Results
For the magnetization, the calculation gives 0.4173 μB per atom. The uncorrected energy comes out at -8.76 eV/atom.



(4)
Y2Si3Ir3 | PBE | relaxed

Lattice parameters (Å, degrees): 2.789 2.789 20.392 90.00 90.00 90.00
Element x y z (fractional)
1 Si 0.500 0.500 0.613
2 Si 0.500 0.500 0.000
3 Si 0.500 0.500 0.387
4 Ir 0.500 0.500 0.889
5 Ir 0.500 0.500 0.500
6 Ir 0.500 0.500 0.111
7 Y 0.500 0.500 0.758
8 Y 0.500 0.500 0.242

Results
For the magnetization, the calculation gives 0.0167 μB per atom. The uncorrected energy comes out at -6.26 eV/atom.



(5)
YSi3Ir | PBE | relaxed

Lattice parameters (Å, degrees): 4.195 4.195 5.731 111.47 111.47 90.00
Element x y z (fractional)
1 Ir 0.652 0.652 0.304
2 Y 0.998 0.998 0.997
3 Si 0.414 0.414 0.829
4 Si 0.264 0.764 0.529
5 Si 0.764 0.264 0.529

Results
The uncorrected energy comes out at -7.10 eV/atom.



(6)
Y4Si5Ir9 | PBE | relaxed

Lattice parameters (Å, degrees): 5.560 5.560 22.709 90.00 90.00 120.00
Element x y z (fractional)
1 Y 0.667 0.333 0.028
2 Y 0.333 0.667 0.826
3 Y 0.667 0.333 0.472
4 Y 0.333 0.667 0.972
5 Y 0.667 0.333 0.174
6 Y 0.333 0.667 0.674
7 Y 0.333 0.667 0.528
8 Y 0.667 0.333 0.326
9 Si 0.000 0.000 0.167
10 Si 0.333 0.667 0.168
11 Si 0.000 0.000 0.000
12 Si 0.333 0.667 0.332
13 Si 0.000 0.000 0.333
14 Si 0.667 0.333 0.668
15 Si 0.000 0.000 0.667
16 Si 0.000 0.000 0.500
17 Si 0.667 0.333 0.832
18 Si 0.000 0.000 0.833
19 Ir 0.168 0.832 0.088
20 Ir 0.168 0.832 0.412
21 Ir 0.166 0.834 0.250
22 Ir 0.832 0.665 0.588
23 Ir 0.335 0.168 0.912
24 Ir 0.834 0.166 0.750
25 Ir 0.832 0.168 0.588
26 Ir 0.335 0.168 0.588
27 Ir 0.832 0.665 0.912
28 Ir 0.168 0.335 0.088
29 Ir 0.665 0.832 0.088
30 Ir 0.168 0.335 0.412
31 Ir 0.166 0.333 0.250
32 Ir 0.832 0.168 0.912
33 Ir 0.667 0.834 0.250
34 Ir 0.834 0.667 0.750
35 Ir 0.665 0.832 0.412
36 Ir 0.333 0.166 0.750

Results
The uncorrected energy comes out at -8.33 eV/atom.



(7)
ZrSiIr | PBE | relaxed

Lattice parameters (Å, degrees): 3.990 6.591 7.451 90.00 90.00 90.00
Element x y z (fractional)
1 Zr 0.250 0.019 0.318
2 Zr 0.250 0.519 0.182
3 Zr 0.750 0.481 0.818
4 Zr 0.750 0.981 0.682
5 Ir 0.250 0.152 0.935
6 Ir 0.750 0.848 0.065
7 Ir 0.750 0.348 0.435
8 Ir 0.250 0.652 0.565
9 Si 0.750 0.221 0.118
10 Si 0.250 0.779 0.882
11 Si 0.750 0.721 0.382
12 Si 0.250 0.279 0.618

Results
The uncorrected energy comes out at -8.73 eV/atom.



(8)
Sm5Ir3 | PBE | relaxed

Lattice parameters (Å, degrees): 11.142 11.142 6.484 90.00 90.00 90.00
Element x y z (fractional)
1 Ir 0.500 0.000 0.614
2 Ir 0.154 0.846 0.250
3 Ir 0.654 0.346 0.750
4 Ir 0.346 0.346 0.250
5 Ir 0.000 0.500 0.886
6 Ir 0.846 0.846 0.750
7 Ir 0.346 0.654 0.750
8 Ir 0.500 0.000 0.114
9 Ir 0.000 0.500 0.386
10 Ir 0.654 0.654 0.250
11 Ir 0.154 0.154 0.750
12 Ir 0.846 0.154 0.250
13 Sm 0.790 0.412 0.120
14 Sm 0.912 0.710 0.120
15 Sm 0.588 0.790 0.880
16 Sm 0.088 0.290 0.120
17 Sm 0.000 0.000 0.500
18 Sm 0.412 0.210 0.880
19 Sm 0.500 0.500 0.000
20 Sm 0.710 0.088 0.880
21 Sm 0.790 0.588 0.620
22 Sm 0.290 0.088 0.380
23 Sm 0.000 0.000 0.000
24 Sm 0.588 0.210 0.380
25 Sm 0.412 0.790 0.380
26 Sm 0.500 0.500 0.500
27 Sm 0.290 0.912 0.880
28 Sm 0.088 0.710 0.620
29 Sm 0.710 0.912 0.380
30 Sm 0.210 0.588 0.120
31 Sm 0.210 0.412 0.620
32 Sm 0.912 0.290 0.620

Results
The uncorrected energy comes out at -6.95 eV/atom.



(9)
Sm5Ir2 | PBE | relaxed

Lattice parameters (Å, degrees): 8.841 8.841 7.277 83.56 83.56 43.90
Element x y z (fractional)
1 Sm 0.215 0.348 0.816
2 Sm 0.432 0.568 0.750
3 Sm 0.793 0.022 0.920
4 Sm 0.207 0.978 0.080
5 Sm 0.785 0.652 0.184
6 Sm 0.022 0.793 0.420
7 Sm 0.348 0.215 0.316
8 Sm 0.652 0.785 0.684
9 Sm 0.978 0.207 0.580
10 Sm 0.568 0.432 0.250
11 Ir 0.399 0.823 0.427
12 Ir 0.177 0.601 0.073
13 Ir 0.601 0.177 0.573
14 Ir 0.823 0.399 0.927

Results
The uncorrected energy comes out at -6.46 eV/atom.



(10)
SmSnIr | PBE | relaxed

Lattice parameters (Å, degrees): 7.458 7.458 4.146 90.00 90.00 120.00
Element x y z (fractional)
1 Ir 0.333 0.667 0.500
2 Ir 0.667 0.333 0.500
3 Ir 0.000 0.000 0.000
4 Sn 0.000 0.252 0.500
5 Sn 0.252 0.000 0.500
6 Sn 0.748 0.748 0.500
7 Sm 0.409 0.409 0.000
8 Sm 0.591 0.000 0.000
9 Sm 0.000 0.591 0.000

Results
The uncorrected energy comes out at -6.67 eV/atom.



(11)
TbSmIr2 | PBE | relaxed

Lattice parameters (Å, degrees): 4.914 4.914 4.914 60.00 60.00 60.00
Element x y z (fractional)
1 Ir 0.250 0.250 0.250
2 Ir 0.750 0.750 0.750
3 Sm 0.500 0.500 0.500
4 Tb 0.000 0.000 0.000

Results
For the magnetization, the calculation gives 0.0000 μB per atom. The uncorrected energy comes out at -7.48 eV/atom.



(12)
Sm2ZnIr | PBE | relaxed

Lattice parameters (Å, degrees): 5.036 5.036 5.036 60.00 60.00 60.00
Element x y z (fractional)
1 Zn 0.000 0.000 0.000
2 Sm 0.250 0.250 0.250
3 Sm 0.750 0.750 0.750
4 Ir 0.500 0.500 0.500

Results
For the magnetization, the calculation gives 0.0040 μB per atom. The uncorrected energy comes out at -5.42 eV/atom.